1.
Below is DyBO3 after structural relaxation, with properties calculated at the PBE-GGA level.

Properties
The energy of formation comes out at -340.2 kJ/mol of atoms.

abc: 6.189 6.393 6.410
angles: 92.57 107.14 107.13
Space group P-1 (No. 2)
Unique sites:
Dy  0.045  0.268  0.333
Dy  0.444  0.819  0.224
B  0.018  0.238  0.782
B  0.478  0.278  0.264
O  0.046  0.777  0.032
O  0.089  0.645  0.373
O  0.154  0.125  0.718
O  0.369  0.129  0.386
O  0.386  0.795  0.842
O  0.425  0.470  0.250

---

2.
Below is NaY2Sn2P3S3O24 after structural relaxation, with properties calculated at the PBE-GGA level.

Properties
The total moment comes out at 0.000 μB/f.u. The energy of formation comes out at -243.7 kJ/mol of atoms.

abc: 8.963 8.971 23.551
angles: 89.86 89.61 60.03
Space group P1 (No. 1)
Unique sites:
Na  0.000  0.000  0.000
Na  0.006  0.974  0.504
Na  0.340  0.325  0.668
Y  0.002  0.981  0.354
Y  0.332  0.314  0.027
Y  0.332  0.322  0.524
Y  0.989  0.995  0.848
Y  0.993  0.979  0.650
Y  0.999  0.994  0.147
Sn  0.322  0.330  0.817
Sn  0.325  0.319  0.322
Sn  0.658  0.655  0.185
Sn  0.659  0.669  0.480
Sn  0.664  0.653  0.688
Sn  0.667  0.646  0.980
P  0.033  0.609  0.419
P  0.036  0.325  0.919
P  0.336  0.026  0.419
P  0.383  0.656  0.585
P  0.385  0.929  0.083
P  0.665  0.936  0.585
P  0.666  0.371  0.084
P  0.691  0.293  0.751
P  0.995  0.683  0.751
S  0.300  0.989  0.751
S  0.302  0.679  0.251
S  0.335  0.612  0.919
S  0.620  0.023  0.918
S  0.621  0.329  0.418
S  0.691  0.988  0.251
S  0.944  0.658  0.084
S  0.945  0.370  0.584
S  0.997  0.294  0.251
O  0.007  0.790  0.410
O  0.013  0.168  0.913
O  0.029  0.185  0.201
O  0.036  0.758  0.699
O  0.113  0.501  0.363
O  0.113  0.505  0.080
O  0.116  0.355  0.581
O  0.120  0.354  0.864
O  0.146  0.302  0.971
O  0.148  0.528  0.470
O  0.153  0.311  0.259
O  0.161  0.499  0.758
O  0.176  0.007  0.410
O  0.183  0.785  0.912
O  0.192  0.022  0.700
O  0.194  0.756  0.201
O  0.207  0.821  0.588
O  0.207  0.942  0.088
O  0.224  0.790  0.301
O  0.224  0.960  0.802
O  0.307  0.138  0.470
O  0.310  0.532  0.969
O  0.320  0.145  0.759
O  0.322  0.505  0.261
O  0.366  0.505  0.867
O  0.367  0.494  0.582
O  0.368  0.104  0.079
O  0.370  0.104  0.362
O  0.470  0.674  0.529
O  0.471  0.818  0.029
O  0.473  0.835  0.743
O  0.476  0.662  0.243
O  0.491  0.852  0.139
O  0.493  0.628  0.924
O  0.493  0.631  0.638
O  0.498  0.845  0.424
O  0.501  0.113  0.583
O  0.505  0.360  0.078
O  0.508  0.308  0.761
O  0.514  0.357  0.365
O  0.515  0.103  0.866
O  0.517  0.145  0.260
O  0.542  0.131  0.969
O  0.544  0.297  0.467
O  0.634  0.851  0.926
O  0.638  0.484  0.424
O  0.642  0.850  0.639
O  0.643  0.476  0.139
O  0.669  0.473  0.742
O  0.674  0.831  0.242
O  0.694  0.828  0.530
O  0.701  0.451  0.031
O  0.769  0.179  0.698
O  0.770  0.018  0.200
O  0.793  0.176  0.409
O  0.795  0.000  0.913
O  0.800  0.216  0.804
O  0.800  0.956  0.301
O  0.826  0.955  0.587
O  0.829  0.192  0.089
O  0.835  0.664  0.741
O  0.837  0.686  0.033
O  0.842  0.469  0.242
O  0.843  0.451  0.532
O  0.855  0.620  0.426
O  0.856  0.494  0.926
O  0.866  0.473  0.636
O  0.866  0.632  0.138
O  0.960  0.814  0.090
O  0.963  0.198  0.588
O  0.963  0.218  0.301
O  0.968  0.791  0.804

---

3.
Below is Rb2LiTaI6 after structural relaxation, with properties calculated at the PBE-GGA level.

Properties
The total moment comes out at 1.999 μB/f.u. The energy of formation comes out at -107.5 kJ/mol of atoms.

abc: 11.682 11.682 11.682
angles: 90.00 90.00 90.00
Space group Fm-3m (No. 225)
Unique sites:
Rb  0.250  0.250  0.250
Li  0.000  0.000  0.000
Ta  0.000  0.000  0.500
I  0.000  0.000  0.256

---

Question: Among the records above, which one has the highest energy of formation?
Answer: Rb2LiTaI6

---

Question: Which of these has the lowest energy of formation?
Answer: DyBO3

---

Question: The lowest energy of formation belongs to which entry?
Answer: DyBO3

---

What did the third record say?
Below is Rb2LiTaI6 after structural relaxation, with properties calculated at the PBE-GGA level.

Properties
The total moment comes out at 1.999 μB/f.u. The energy of formation comes out at -107.5 kJ/mol of atoms.

abc: 11.682 11.682 11.682
angles: 90.00 90.00 90.00
Space group Fm-3m (No. 225)
Unique sites:
Rb  0.250  0.250  0.250
Li  0.000  0.000  0.000
Ta  0.000  0.000  0.500
I  0.000  0.000  0.256